[1]
VASP calculation (PBE) on crystalline K7Ti8P12O48 at its relaxed geometry.

CIF file:
```
data_K7Ti8P12O48
_symmetry_space_group_name_H-M 'R 3'
_symmetry_Int_Tables_number 146
_symmetry_space_group_name_Hall 'R 3'
_cell_length_a 14.1406
_cell_length_b 14.1406
_cell_length_c 17.2645
_cell_angle_alpha 90.00
_cell_angle_beta 90.00
_cell_angle_gamma 120.00
loop_
_atom_site_label
_atom_site_fract_x
_atom_site_fract_y
_atom_site_fract_z
_atom_site_occupancy
K1 0.0000 0.0000 0.0000 1
K2 0.1221 0.3775 0.0206 1
K3 0.1388 0.7767 0.2791 1
Ti1 0.0000 0.0000 0.2973 1
Ti2 0.0000 0.0000 0.5701 1
Ti3 0.0950 0.6905 0.7569 1
Ti4 0.1108 0.3943 0.5135 1
P1 0.0050 0.1790 0.1634 1
P2 0.0395 0.8134 0.8946 1
P3 0.0458 0.8574 0.4394 1
P4 0.0763 0.2390 0.6743 1
O1 0.0026 0.4275 0.2844 1
O2 0.0233 0.1271 0.6327 1
O3 0.0238 0.8021 0.9836 1
O4 0.0501 0.9179 0.3632 1
O5 0.0548 0.3846 0.8583 1
O6 0.0660 0.1935 0.8803 1
O7 0.0657 0.5877 0.3758 1
O8 0.0739 0.6719 0.0834 1
O9 0.0749 0.5018 0.1344 1
O10 0.0774 0.7341 0.8648 1
O11 0.1001 0.8749 0.1368 1
O12 0.1012 0.4289 0.4035 1
O13 0.1242 0.0235 0.2330 1
O14 0.1292 0.1039 0.5018 1
O15 0.1893 0.7333 0.5197 1
O16 0.1922 0.0734 0.0952 1
```

Results
DFT formation energy   -68.8 kcal/mol of atoms
Energy   -7.522 eV/atom
Volume   13.29 Å³ per atom



[2]
VASP calculation (PBE) on crystalline Ti2SiC at its relaxed geometry.

CIF file:
```
data_Ti2SiC
_symmetry_space_group_name_H-M 'P 63/m m c'
_symmetry_Int_Tables_number 194
_symmetry_space_group_name_Hall '-P 6c 2c'
_cell_length_a 3.0510
_cell_length_b 3.0510
_cell_length_c 12.8946
_cell_angle_alpha 90.00
_cell_angle_beta 90.00
_cell_angle_gamma 120.00
loop_
_atom_site_label
_atom_site_fract_x
_atom_site_fract_y
_atom_site_fract_z
_atom_site_occupancy
Ti1 0.3333 0.6667 0.0917 1
Si1 0.3333 0.6667 0.7500 1
C1 0.0000 0.0000 0.0000 1
```

Results
DFT formation energy   -18.3 kcal/mol of atoms
Energy   -8.403 eV/atom
Volume   12.99 Å³ per atom



[3]
VASP calculation (PBE) on crystalline ZrCuSiP at its relaxed geometry.

CIF file:
```
data_ZrCuSiP
_symmetry_space_group_name_H-M 'P 4/n m m'
_symmetry_Int_Tables_number 129
_cell_length_a 3.593
_cell_length_b 3.593
_cell_length_c 9.526
_cell_angle_alpha 90.00
_cell_angle_beta 90.00
_cell_angle_gamma 90.00
loop_
_symmetry_equiv_pos_as_xyz
'x,y,z'
'-x,-y,-z'
'-y+1/2,x,z'
'y+1/2,-x,-z'
'-x+1/2,-y+1/2,z'
'x+1/2,y+1/2,-z'
'y,-x+1/2,z'
'-y,x+1/2,-z'
'x+1/2,-y,-z'
'-x+1/2,y,z'
'-y,-x,-z'
'y,x,z'
'-x,y+1/2,-z'
'x,-y+1/2,z'
'y+1/2,x+1/2,-z'
'-y+1/2,-x+1/2,z'
loop_
_atom_site_label
_atom_site_fract_x
_atom_site_fract_y
_atom_site_fract_z
_atom_site_occupancy
Zr1 0.250 0.250 0.229 1
Cu1 0.250 0.750 0.500 1
Si1 0.250 0.750 0.000 1
P1 0.250 0.250 0.672 1
```

Results
DFT formation energy   -16.5 kcal/mol of atoms
Energy   -6.588 eV/atom
Volume   15.38 Å³ per atom



- The highest volume belongs to which entry?
  ZrCuSiP